Entry 1:
The following is a PBE calculation of a geometry-optimized NdScS3 structure, from the Materials Project database.

Computed properties:
energy of formation = -2302 meV per atom

The structure in CIF format:
```
data_NdScS3
_chemical_formula_sum 'Nd4 Sc4 S12'
_symmetry_space_group_name_H-M 'P n m a'
_symmetry_Int_Tables_number 62
_symmetry_space_group_name_Hall '-P 2ac 2n'
_cell_length_a 7.1701
_cell_length_b 9.6094
_cell_length_c 6.5155
_cell_angle_alpha 90.00
_cell_angle_beta 90.00
_cell_angle_gamma 90.00
loop_
_atom_site_label
_atom_site_fract_x
_atom_site_fract_y
_atom_site_fract_z
Nd1 0.0974 0.2500 0.0379
Sc1 0.0000 0.0000 0.5000
S1 0.0373 0.7500 0.3713
S2 0.1884 0.5625 0.8218
```

Entry 2:
The following is a PBE calculation of a geometry-optimized RbAgBr3 structure, from the Materials Project database.

Computed properties:
energy of formation = -1211 meV per atom

The structure in CIF format:
```
data_RbAgBr3
_chemical_formula_sum 'Rb2 Ag2 Br6'
_symmetry_space_group_name_H-M 'C 1 m 1'
_symmetry_Int_Tables_number 8
_symmetry_space_group_name_Hall 'C -2y'
_cell_length_a 7.7028
_cell_length_b 7.7031
_cell_length_c 5.4472
_cell_angle_alpha 90.00
_cell_angle_beta 90.18
_cell_angle_gamma 90.00
loop_
_atom_site_label
_atom_site_fract_x
_atom_site_fract_y
_atom_site_fract_z
Rb1 0.0000 0.0000 0.0000
Ag1 0.0039 0.5000 0.5132
Br1 0.2542 0.2533 0.5113
Br2 0.4954 0.0000 0.0128
```

Entry 3:
The following is a PBE calculation of a geometry-optimized Sr8Pr4Cu9Hg3O24 structure, from the Materials Project database.

Computed properties:
energy of formation = -2161 meV per atom

The structure in CIF format:
```
data_Sr8Pr4Cu9Hg3O24
_chemical_formula_sum 'Sr16 Pr8 Cu18 Hg6 O48'
_symmetry_space_group_name_H-M 'C 1 2/m 1'
_symmetry_Int_Tables_number 12
_symmetry_space_group_name_Hall '-C 2y'
_cell_length_a 15.6449
_cell_length_b 7.8250
_cell_length_c 12.9346
_cell_angle_alpha 90.00
_cell_angle_beta 107.58
_cell_angle_gamma 90.00
loop_
_atom_site_label
_atom_site_fract_x
_atom_site_fract_y
_atom_site_fract_z
Sr1 0.0662 0.2437 0.2781
Sr2 0.1772 0.2437 0.7219
Pr1 0.0000 0.2510 0.0000
Pr2 0.2500 0.2500 0.0000
Cu1 0.0000 0.0000 0.5000
Cu2 0.0912 0.5000 0.8651
Cu3 0.0918 0.0000 0.8673
Cu4 0.1584 0.5000 0.1363
Cu5 0.1598 0.0000 0.1364
Hg1 0.0000 0.5000 0.5000
Hg2 0.2489 0.0000 0.5001
O1 0.0318 0.5000 0.1291
O2 0.0327 0.0000 0.1308
O3 0.0374 0.0000 0.6495
O4 0.0412 0.5000 0.6648
O5 0.0924 0.2491 0.8695
O6 0.1573 0.2505 0.1294
O7 0.2085 0.5000 0.3355
O8 0.2092 0.0000 0.3356
O9 0.2172 0.0000 0.8692
O10 0.2173 0.5000 0.8709
```

Entry 4:
The following is a PBE calculation of a geometry-optimized RbPH2O4 structure, from the Materials Project database.

Computed properties:
maximum piezoelectric response = 0.151 C/m2
energy above the most stable polymorph in this dataset = 0 meV per atom
energy of formation = -2189 meV per atom

The structure in CIF format:
```
data_RbPH2O4
_chemical_formula_sum 'Rb8 P8 H16 O32'
_symmetry_space_group_name_H-M 'F d d 2'
_symmetry_Int_Tables_number 43
_symmetry_space_group_name_Hall 'F 2 -2d'
_cell_length_a 10.9549
_cell_length_b 11.0809
_cell_length_c 7.3683
_cell_angle_alpha 90.00
_cell_angle_beta 90.00
_cell_angle_gamma 90.00
loop_
_atom_site_label
_atom_site_fract_x
_atom_site_fract_y
_atom_site_fract_z
Rb1 0.0000 0.0000 0.0000
P1 0.0000 0.0000 0.4828
H1 0.0444 0.1770 0.6154
O1 0.0254 0.3883 0.1139
O2 0.1153 0.0244 0.3716
```

Entry 5:
The following is a PBE calculation of a geometry-optimized Bi8Te7 structure, from the Materials Project database.

Computed properties:
energy of formation = -378 meV per atom

The structure in CIF format:
```
data_Bi8Te7
_chemical_formula_sum 'Bi24 Te21'
_symmetry_space_group_name_H-M 'P -3 m 1'
_symmetry_Int_Tables_number 164
_symmetry_space_group_name_Hall '-P 3 2"'
_cell_length_a 4.5016
_cell_length_b 4.5016
_cell_length_c 92.5533
_cell_angle_alpha 90.00
_cell_angle_beta 90.00
_cell_angle_gamma 120.00
loop_
_atom_site_label
_atom_site_fract_x
_atom_site_fract_y
_atom_site_fract_z
Bi1 0.0000 0.0000 0.0678
Bi2 0.0000 0.0000 0.1341
Bi3 0.0000 0.0000 0.3338
Bi4 0.0000 0.0000 0.3996
Bi5 0.3333 0.6667 0.0215
Bi6 0.3333 0.6667 0.0859
Bi7 0.3333 0.6667 0.2869
Bi8 0.3333 0.6667 0.3519
Bi9 0.3333 0.6667 0.4909
Bi10 0.3333 0.6667 0.5563
Bi11 0.3333 0.6667 0.7564
Bi12 0.3333 0.6667 0.8223
Te1 0.0000 0.0000 0.0000
Te2 0.0000 0.0000 0.1960
Te3 0.0000 0.0000 0.2653
Te4 0.0000 0.0000 0.4623
Te5 0.3333 0.6667 0.1559
Te6 0.3333 0.6667 0.2251
Te7 0.3333 0.6667 0.4217
Te8 0.3333 0.6667 0.6190
Te9 0.3333 0.6667 0.6945
Te10 0.3333 0.6667 0.8844
Te11 0.3333 0.6667 0.9600
```

Entry 6:
The following is a PBE calculation of a geometry-optimized NiH4C2S4N2 structure, from the Materials Project database.

Computed properties:
energy of formation = -334 meV per atom

The structure in CIF format:
```
data_NiH4C2S4N2
_chemical_formula_sum 'Ni4 H16 C8 S16 N8'
_symmetry_space_group_name_H-M 'P 1 21/c 1'
_symmetry_Int_Tables_number 14
_symmetry_space_group_name_Hall '-P 2ybc'
_cell_length_a 8.9477
_cell_length_b 10.0939
_cell_length_c 11.4498
_cell_angle_alpha 90.00
_cell_angle_beta 128.94
_cell_angle_gamma 90.00
loop_
_atom_site_label
_atom_site_fract_x
_atom_site_fract_y
_atom_site_fract_z
Ni1 0.2188 0.1066 0.1735
H1 0.2134 0.1024 0.6570
H2 0.2727 0.7430 0.3216
H3 0.2861 0.0340 0.8262
H4 0.3514 0.6917 0.9937
C1 0.0962 0.7069 0.3748
C2 0.4618 0.5078 0.2735
S1 0.0429 0.7226 0.4948
S2 0.0826 0.1186 0.2803
S3 0.3661 0.1028 0.0748
S4 0.4804 0.5071 0.8434
N1 0.2521 0.7466 0.8996
N2 0.3087 0.0444 0.7492
```

Entry 7:
The following is a PBE calculation of a geometry-optimized Zr2Al3C4 structure, from the Materials Project database.

Computed properties:
energy above the most stable polymorph in this dataset = 390 meV per atom
energy of formation = -64 meV per atom

The structure in CIF format:
```
data_Zr2Al3C4
_chemical_formula_sum 'Zr4 Al6 C8'
_symmetry_space_group_name_H-M 'P 63 m c'
_symmetry_Int_Tables_number 186
_symmetry_space_group_name_Hall 'P 6c -2c'
_cell_length_a 3.2402
_cell_length_b 3.2402
_cell_length_c 26.9028
_cell_angle_alpha 90.00
_cell_angle_beta 90.00
_cell_angle_gamma 120.00
loop_
_atom_site_label
_atom_site_fract_x
_atom_site_fract_y
_atom_site_fract_z
Zr1 0.3333 0.6667 0.0000
Zr2 0.3333 0.6667 0.3997
Al1 0.0000 0.0000 0.0904
Al2 0.0000 0.0000 0.3108
Al3 0.3333 0.6667 0.6750
C1 0.0000 0.0000 0.4539
C2 0.3333 0.6667 0.2095
C3 0.3333 0.6667 0.2582
C4 0.3333 0.6667 0.8483
```

Entry 8:
The following is a PBE calculation of a geometry-optimized TiBi2O5 structure, from the Materials Project database.

Computed properties:
energy above the most stable polymorph in this dataset = 17 meV per atom
energy of formation = -2354 meV per atom

The structure in CIF format:
```
data_TiBi2O5
_chemical_formula_sum 'Ti4 Bi8 O20'
_symmetry_space_group_name_H-M 'P n m a'
_symmetry_Int_Tables_number 62
_symmetry_space_group_name_Hall '-P 2ac 2n'
_cell_length_a 10.9017
_cell_length_b 3.8747
_cell_length_c 11.6246
_cell_angle_alpha 90.00
_cell_angle_beta 90.00
_cell_angle_gamma 90.00
loop_
_atom_site_label
_atom_site_fract_x
_atom_site_fract_y
_atom_site_fract_z
Ti1 0.1842 0.2500 0.1229
Bi1 0.1067 0.2500 0.7777
Bi2 0.1374 0.2500 0.4476
O1 0.0014 0.7500 0.3973
O2 0.0257 0.2500 0.1578
O3 0.2269 0.7500 0.7661
O4 0.2283 0.2500 0.9638
O5 0.2398 0.7500 0.1204
```